16
Lattice="3.550 -7.548 0.000 3.550 7.548 0.000 -0.696 0.000 6.265" Properties=species:S:1:pos:R:3 comment="Rb3RuF12, optimized geometry, DFT GGA-PBE" e_tot_ev_per_atom=-3.57 de_polymorph_ev_per_atom=0.012 e_form_kj_per_mol_atoms=-166.05 energy_corrected_mp2020_ev_per_atom=-3.9204 pbc="T T T"
Rb 0.000 0.000 0.000
Rb 1.427 3.774 3.132
Rb 1.427 -3.774 3.132
Ru 3.203 0.000 3.132
F 0.692 1.286 3.984
F 1.229 2.178 5.480
F 0.692 -1.286 3.984
F 2.568 1.342 1.953
F 1.229 -2.178 5.480
F 2.568 -1.342 1.953
F 3.837 1.342 4.312
F 5.176 2.178 0.784
F 3.837 -1.342 4.312
F 5.713 1.286 2.281
F 5.176 -2.178 0.784
F 5.713 -1.286 2.281